a:
A geometry-optimized KrF2 structure. Source: the Materials Project database, functional r²SCAN.

Unit cell a=4.533 b=4.533 c=5.849 alpha=90.00 beta=90.00 gamma=90.00
Sites, in units of the cell vectors:
Kr 0.000 0.000 0.000
Kr 0.500 0.500 0.500
F 0.201 0.799 0.500
F 0.299 0.299 0.000
F 0.701 0.701 0.000
F 0.799 0.201 0.500


b:
A geometry-optimized KrF2 structure. Source: the Materials Project database, functional r²SCAN.

Unit cell a=4.103 b=4.103 c=4.357 alpha=118.09 beta=118.09 gamma=90.00
Sites, in units of the cell vectors:
Kr 0.000 0.000 0.000
F 0.705 0.705 0.410
F 0.295 0.295 0.590


Tell me which of them is the least stable. Sure, it is a.


a:
A geometry-optimized Li2MnF6 structure. Source: the Materials Project database, functional r²SCAN.

Unit cell a=4.876 b=4.876 c=8.742 alpha=90.00 beta=90.00 gamma=120.00
Sites, in units of the cell vectors:
Li 0.333 0.667 0.254
Li 0.000 0.000 0.000
Li 0.000 0.000 0.500
Li 0.667 0.333 0.746
Mn 0.333 0.667 0.750
Mn 0.667 0.333 0.250
F 0.334 0.975 0.633
F 0.360 0.024 0.134
F 0.976 0.336 0.134
F 0.025 0.359 0.633
F 0.336 0.360 0.866
F 0.359 0.334 0.367
F 0.641 0.666 0.633
F 0.664 0.640 0.134
F 0.975 0.641 0.367
F 0.024 0.664 0.866
F 0.640 0.976 0.866
F 0.666 0.025 0.367


b:
A geometry-optimized Li2MnF6 structure. Source: the Materials Project database, functional r²SCAN.

Unit cell a=4.537 b=4.537 c=8.703 alpha=90.00 beta=90.00 gamma=90.00
Sites, in units of the cell vectors:
Li 0.000 0.000 0.338
Li 0.000 0.000 0.662
Li 0.500 0.500 0.162
Li 0.500 0.500 0.838
Mn 0.000 0.000 0.000
Mn 0.500 0.500 0.500
F 0.192 0.808 0.153
F 0.192 0.808 0.847
F 0.217 0.783 0.500
F 0.283 0.283 0.000
F 0.308 0.308 0.347
F 0.308 0.308 0.653
F 0.692 0.692 0.347
F 0.692 0.692 0.653
F 0.717 0.717 0.000
F 0.783 0.217 0.500
F 0.808 0.192 0.153
F 0.808 0.192 0.847


c:
A geometry-optimized Li2MnF6 structure. Source: the Materials Project database, functional r²SCAN.

Unit cell a=4.451 b=4.871 c=16.340 alpha=90.01 beta=90.00 gamma=90.00
Sites, in units of the cell vectors:
Li 0.506 0.250 0.779
Li 0.005 0.249 0.950
Li 0.994 0.250 0.279
Li 0.495 0.249 0.450
Li 0.505 0.751 0.550
Li 0.006 0.750 0.721
Li 0.995 0.751 0.050
Li 0.494 0.750 0.221
Mn 0.005 0.250 0.620
Mn 0.495 0.250 0.120
Mn 0.505 0.750 0.880
Mn 0.995 0.750 0.380
F 0.732 0.059 0.875
F 0.281 0.908 0.799
F 0.742 0.099 0.044
F 0.768 0.059 0.375
F 0.219 0.908 0.299
F 0.758 0.099 0.544
F 0.248 0.401 0.544
F 0.778 0.559 0.626
F 0.232 0.408 0.701
F 0.732 0.592 0.799
F 0.252 0.401 0.044
F 0.278 0.441 0.874
F 0.722 0.559 0.126
F 0.748 0.599 0.956
F 0.268 0.408 0.201
F 0.768 0.592 0.299
F 0.222 0.441 0.374
F 0.752 0.599 0.456
F 0.242 0.901 0.456
F 0.781 0.092 0.701
F 0.232 0.941 0.625
F 0.258 0.901 0.956
F 0.719 0.092 0.201
F 0.268 0.941 0.125


Tell me which of them is the least stable. Sure, it is a.


a:
A geometry-optimized Mn6OF11 structure. Source: the Materials Project database, functional r²SCAN.

Unit cell a=4.897 b=5.773 c=15.855 alpha=90.80 beta=90.16 gamma=91.14
Sites, in units of the cell vectors:
Mn 0.003 0.832 0.586
Mn 0.005 0.178 0.759
Mn 0.984 0.815 0.924
Mn 0.995 0.822 0.241
Mn 0.997 0.168 0.414
Mn 0.016 0.185 0.076
Mn 0.495 0.673 0.416
Mn 0.505 0.642 0.075
Mn 0.496 0.676 0.753
Mn 0.495 0.358 0.925
Mn 0.505 0.327 0.584
Mn 0.504 0.324 0.247
O 0.295 0.396 0.026
O 0.705 0.604 0.974
F 0.236 0.907 0.696
F 0.224 0.890 0.355
F 0.226 0.892 0.030
F 0.245 0.124 0.870
F 0.234 0.102 0.524
F 0.215 0.108 0.191
F 0.244 0.609 0.856
F 0.267 0.397 0.694
F 0.272 0.603 0.528
F 0.266 0.395 0.355
F 0.295 0.615 0.183
F 0.705 0.385 0.817
F 0.734 0.605 0.645
F 0.728 0.397 0.472
F 0.756 0.391 0.144
F 0.733 0.603 0.306
F 0.785 0.892 0.809
F 0.766 0.898 0.476
F 0.776 0.110 0.645
F 0.774 0.108 0.970
F 0.755 0.876 0.130
F 0.764 0.093 0.304


b:
A geometry-optimized Mn6OF11 structure. Source: the Materials Project database, functional r²SCAN.

Unit cell a=4.893 b=5.739 c=15.882 alpha=89.93 beta=90.57 gamma=90.82
Sites, in units of the cell vectors:
Mn 0.992 0.830 0.413
Mn 0.008 0.170 0.587
Mn 0.980 0.807 0.757
Mn 0.016 0.824 0.083
Mn 0.020 0.193 0.243
Mn 0.984 0.176 0.917
Mn 0.494 0.654 0.247
Mn 0.517 0.667 0.911
Mn 0.497 0.675 0.583
Mn 0.506 0.346 0.753
Mn 0.503 0.325 0.417
Mn 0.483 0.333 0.089
O 0.291 0.418 0.197
O 0.709 0.582 0.803
F 0.232 0.902 0.524
F 0.250 0.904 0.194
F 0.210 0.886 0.863
F 0.247 0.112 0.700
F 0.215 0.111 0.359
F 0.235 0.104 0.024
F 0.257 0.599 0.690
F 0.265 0.399 0.524
F 0.286 0.618 0.358
F 0.272 0.605 0.018
F 0.263 0.380 0.855
F 0.714 0.382 0.642
F 0.735 0.601 0.476
F 0.743 0.401 0.310
F 0.728 0.395 0.982
F 0.737 0.620 0.145
F 0.785 0.889 0.641
F 0.753 0.888 0.300
F 0.768 0.098 0.476
F 0.750 0.096 0.806
F 0.765 0.896 0.976
F 0.790 0.114 0.137


Tell me which of them is the least stable. Sure, it is b.


a:
A geometry-optimized MoF6 structure. Source: the Materials Project database, functional r²SCAN.

Unit cell a=4.896 b=8.536 c=9.368 alpha=90.00 beta=90.00 gamma=90.00
Sites, in units of the cell vectors:
Mo 0.070 0.250 0.128
Mo 0.570 0.750 0.372
Mo 0.930 0.750 0.872
Mo 0.430 0.250 0.628
F 0.226 0.750 0.992
F 0.408 0.902 0.263
F 0.092 0.598 0.763
F 0.274 0.750 0.492
F 0.634 0.750 0.751
F 0.908 0.402 0.237
F 0.134 0.250 0.749
F 0.408 0.598 0.263
F 0.866 0.750 0.251
F 0.266 0.098 0.519
F 0.592 0.402 0.737
F 0.734 0.902 0.481
F 0.366 0.250 0.249
F 0.092 0.902 0.763
F 0.266 0.402 0.519
F 0.234 0.098 0.019
F 0.726 0.250 0.508
F 0.774 0.250 0.008
F 0.908 0.098 0.237
F 0.234 0.402 0.019
F 0.766 0.598 0.981
F 0.766 0.902 0.981
F 0.734 0.598 0.481
F 0.592 0.098 0.737


b:
A geometry-optimized MoF6 structure. Source: the Materials Project database, functional r²SCAN.

Unit cell a=5.486 b=5.486 c=5.486 alpha=109.47 beta=109.47 gamma=109.47
Sites, in units of the cell vectors:
Mo 0.000 0.000 0.000
F 0.000 0.711 0.711
F 0.000 0.289 0.289
F 0.289 0.000 0.289
F 0.711 0.000 0.711
F 0.711 0.711 0.000
F 0.289 0.289 0.000


Tell me which of them is the least stable. Sure, it is b.